Entry 1:
Compound: Mn2SnC9BrO9
Source: the Materials Project
Functional: GGA+U
Structure: optimized geometry

abc: 12.8159 8.8962 15.2160
angles: 82.67 90.00 90.00
Closest atoms and distances in Å follow each position.
Sites, in units of the cell vectors:
Mn1 0.5077 0.4425 0.6039  4 C 1.79-1.87
Mn2 0.3071 0.7466 0.0640  5 C 1.84-1.88
Mn3 0.6929 0.2534 0.9360  5 C 1.84-1.88
Mn4 0.8071 0.2534 0.4360  5 C 1.84-1.88
Mn5 0.9923 0.4425 0.1039  4 C 1.79-1.87
Mn6 0.4923 0.5575 0.3961  4 C 1.79-1.87
Mn7 0.0077 0.5575 0.8961  4 C 1.79-1.87
Mn8 0.1929 0.7466 0.5640  5 C 1.84-1.88
Sn1 0.1667 0.5376 0.0236  1 Br 2.58, 3 Mn 2.63-2.80, 1 C 2.81
Sn2 0.3333 0.5376 0.5236  1 Br 2.58, 3 Mn 2.63-2.80, 1 C 2.81
Sn3 0.6667 0.4624 0.4764  1 Br 2.58, 3 Mn 2.63-2.80, 1 C 2.81
Sn4 0.8333 0.4624 0.9764  1 Br 2.58, 3 Mn 2.63-2.80, 1 C 2.81
C1 0.0230 0.2453 0.0836  1 O 1.16
C2 0.3633 0.5801 0.1362  1 O 1.16
C3 0.8732 0.3787 0.1577  1 O 1.17
C4 0.5936 0.1204 0.9058  1 O 1.16
C5 0.4770 0.2453 0.5836  1 O 1.16
C6 0.1268 0.6213 0.8423  1 O 1.17
C7 0.6367 0.4199 0.8638  1 O 1.16
C8 0.7140 0.2007 0.3491  1 O 1.16
C9 0.4609 0.3601 0.3750  1 O 1.16
C10 0.7414 0.1162 0.5219  1 O 1.16
C11 0.2586 0.8838 0.4781  1 O 1.16
C12 0.5793 0.5791 0.3001  1 O 1.17
C13 0.5230 0.7547 0.4164  1 O 1.16
C14 0.7586 0.1162 0.0219  1 O 1.16
C15 0.0793 0.4209 0.1999  1 O 1.17
C16 0.9064 0.1204 0.4058  1 O 1.16
C17 0.0936 0.8796 0.5942  1 O 1.16
C18 0.6118 0.3142 0.0270  1 O 1.15
C19 0.9770 0.7547 0.9164  1 O 1.16
C20 0.9609 0.6399 0.1250  1 O 1.16
C21 0.3882 0.6858 0.9730  1 O 1.15
C22 0.8882 0.3142 0.5270  1 O 1.15
C23 0.0391 0.3601 0.8750  1 O 1.16
C24 0.8633 0.4199 0.3638  1 O 1.16
C25 0.2860 0.7993 0.6509  1 O 1.16
C26 0.7860 0.2007 0.8491  1 O 1.16
C27 0.1118 0.6858 0.4730  1 O 1.15
C28 0.1367 0.5801 0.6362  1 O 1.16
C29 0.4064 0.8796 0.0942  1 O 1.16
C30 0.2140 0.7993 0.1509  1 O 1.16
C31 0.4207 0.4209 0.6999  1 O 1.17
C32 0.6268 0.3787 0.6577  1 O 1.17
C33 0.5391 0.6399 0.6250  1 O 1.16
C34 0.2414 0.8838 0.9781  1 O 1.16
C35 0.9207 0.5791 0.8001  1 O 1.17
C36 0.3732 0.6213 0.3423  1 O 1.17
Br1 0.2843 0.3094 0.0018  1 Sn 2.58
Br2 0.7157 0.6906 0.9982  1 Sn 2.58
Br3 0.2157 0.3094 0.5018  1 Sn 2.58
Br4 0.7843 0.6906 0.4982  1 Sn 2.58
O1 0.1569 0.8381 0.2023  1 C 1.16
O2 0.0610 0.6482 0.4171  1 C 1.15
O3 0.0386 0.1186 0.0771  1 C 1.16
O4 0.5610 0.3518 0.0829  1 C 1.15
O5 0.9391 0.7577 0.1444  1 C 1.16
O6 0.7972 0.0350 0.0779  1 C 1.16
O7 0.2028 0.9650 0.9221  1 C 1.16
O8 0.7028 0.0350 0.5779  1 C 1.16
O9 0.5978 0.5240 0.8236  1 C 1.16
O10 0.7969 0.3371 0.1957  1 C 1.17
O11 0.9614 0.8814 0.9229  1 C 1.16
O12 0.0978 0.4760 0.6764  1 C 1.16
O13 0.8431 0.1619 0.7977  1 C 1.16
O14 0.3677 0.4060 0.7629  1 C 1.17
O15 0.6569 0.1619 0.2977  1 C 1.16
O16 0.0295 0.9621 0.6127  1 C 1.16
O17 0.5386 0.8814 0.4229  1 C 1.16
O18 0.4614 0.1186 0.5771  1 C 1.16
O19 0.2969 0.6629 0.3043  1 C 1.17
O20 0.3431 0.8381 0.7023  1 C 1.16
O21 0.4705 0.9621 0.1127  1 C 1.16
O22 0.0609 0.2423 0.8556  1 C 1.16
O23 0.1323 0.4060 0.2629  1 C 1.17
O24 0.4390 0.6482 0.9171  1 C 1.15
O25 0.5295 0.0379 0.8873  1 C 1.16
O26 0.4391 0.2423 0.3556  1 C 1.16
O27 0.9390 0.3518 0.5829  1 C 1.15
O28 0.4022 0.4760 0.1764  1 C 1.16
O29 0.8677 0.5940 0.7371  1 C 1.17
O30 0.2972 0.9650 0.4221  1 C 1.16
O31 0.9022 0.5240 0.3236  1 C 1.16
O32 0.2031 0.6629 0.8043  1 C 1.17
O33 0.6323 0.5940 0.2371  1 C 1.17
O34 0.5609 0.7577 0.6444  1 C 1.16
O35 0.9705 0.0379 0.3873  1 C 1.16
O36 0.7031 0.3371 0.6957  1 C 1.17

Results
ΔE_f	-0.7379	eV/atom
total moment	0.00	μB per formula unit
crystal system	monoclinic

***

Entry 2:
Compound: AlV2O4
Source: the Materials Project
Functional: GGA+U
Structure: optimized geometry

abc: 5.8079 5.8079 5.8079
angles: 61.16 61.16 61.16
Closest atoms and distances in Å follow each position.
Sites, in units of the cell vectors:
Al1 0.6234 0.6234 0.6234  4 O 1.78-1.80
Al2 0.3766 0.3766 0.3766  4 O 1.78-1.80
V1 0.0000 0.5000 0.0000  6 O 2.06-2.08
V2 0.0000 0.0000 0.0000  6 O 2.09
V3 0.5000 0.0000 0.0000  6 O 2.06-2.08
V4 0.0000 0.0000 0.5000  6 O 2.06-2.08
O1 0.2537 0.7478 0.7478  1 Al 1.78
O2 0.2522 0.2522 0.7463  1 Al 1.78
O3 0.2522 0.7463 0.2522  1 Al 1.78
O4 0.2489 0.2489 0.2489  1 Al 1.80
O5 0.7478 0.7478 0.2537  1 Al 1.78
O6 0.7463 0.2522 0.2522  1 Al 1.78
O7 0.7478 0.2537 0.7478  1 Al 1.78
O8 0.7511 0.7511 0.7511  1 Al 1.80

Results
ΔE_f	-2.6924	eV/atom
total moment	5.00	μB per formula unit
crystal system	trigonal

***

Entry 3:
Compound: La7SmCo5Cu3O24
Source: the Materials Project
Functional: GGA+U
Structure: optimized geometry

abc: 7.6758 7.6863 7.6757
angles: 90.00 89.98 89.99
Closest atoms and distances in Å follow each position.
Sites, in units of the cell vectors:
La1 0.2512 0.2490 0.2512  12 O 2.70-2.73
La2 0.2510 0.2493 0.7490  12 O 2.71-2.75
La3 0.2512 0.7510 0.2511  12 O 2.70-2.75
La4 0.2511 0.7508 0.7489  12 O 2.70-2.73
La5 0.7488 0.2490 0.7488  12 O 2.70-2.73
La6 0.7489 0.7508 0.2511  12 O 2.70-2.73
La7 0.7488 0.7510 0.7488  12 O 2.70-2.75
Sm1 0.7491 0.2494 0.2509  12 O 2.68-2.70
Co1 0.9998 0.0002 0.0002  6 O 1.90-1.92
Co2 0.9997 0.0002 0.4997  6 O 1.88-1.93
Co3 0.5003 0.0002 0.0003  6 O 1.88-1.93
Co4 0.5001 0.0002 0.4999  6 O 1.91
Co5 0.5003 0.4996 0.4997  6 O 1.87-1.94
Cu1 0.9998 0.4998 0.0002  6 O 1.93-1.95
Cu2 0.9998 0.4998 0.4998  6 O 1.91-1.97
Cu3 0.5002 0.4998 0.0002  6 O 1.91-1.97
O1 0.2505 0.0002 0.0012  2 Co 1.92
O2 0.2511 0.0000 0.4996  2 Co 1.91-1.93
O3 0.2511 0.4999 0.0000  2 Cu 1.91-1.93
O4 0.2565 0.5000 0.5000  1 Co 1.87, 1 Cu 1.97
O5 0.7494 0.0020 0.0010  2 Co 1.91-1.92
O6 0.7489 0.0021 0.4983  2 Co 1.91-1.93
O7 0.7488 0.4979 0.0022  2 Cu 1.91-1.93
O8 0.7436 0.4978 0.4979  1 Co 1.87, 1 Cu 1.97
O9 0.9978 0.2471 0.0022  1 Co 1.90, 1 Cu 1.94
O10 0.9979 0.2453 0.4979  1 Co 1.88, 1 Cu 1.96
O11 0.0000 0.7529 0.0000  1 Co 1.90, 1 Cu 1.95
O12 0.0000 0.7547 0.4999  1 Co 1.89, 1 Cu 1.96
O13 0.5021 0.2453 0.0021  1 Co 1.88, 1 Cu 1.96
O14 0.5023 0.2486 0.4977  2 Co 1.91-1.93
O15 0.5001 0.7547 0.0000  1 Co 1.89, 1 Cu 1.96
O16 0.4999 0.7514 0.5001  2 Co 1.91-1.94
O17 0.9990 0.0020 0.2506  2 Co 1.91-1.92
O18 0.9988 0.0002 0.7494  2 Co 1.92
O19 0.9978 0.4978 0.2512  2 Cu 1.91-1.93
O20 0.0000 0.4999 0.7489  2 Cu 1.91-1.93
O21 0.5017 0.0021 0.2511  2 Co 1.91-1.93
O22 0.5004 0.0000 0.7489  2 Co 1.91-1.93
O23 0.5021 0.4978 0.2564  1 Co 1.87, 1 Cu 1.97
O24 0.5000 0.5000 0.7435  1 Co 1.87, 1 Cu 1.97

Results
ΔE_f	-2.4625	eV/atom
total moment	6.88	μB per formula unit
crystal system	monoclinic

***

Entry 4:
Compound: Na3Ni2P2C2O14
Source: the Materials Project
Functional: GGA+U
Structure: optimized geometry

abc: 8.8622 5.1715 6.5129
angles: 90.02 89.08 88.36
Closest atoms and distances in Å follow each position.
Sites, in units of the cell vectors:
Na1 0.2559 0.2446 0.4738  5 O 2.27-2.50
Na2 0.7448 0.7530 0.5124  4 O 2.29-2.45
Na3 0.7465 0.7538 0.9857  4 O 2.28-2.44
Ni1 0.3425 0.7829 0.7593  6 O 1.98-2.08
Ni2 0.6534 0.2207 0.2501  6 O 1.95-2.06
P1 0.4221 0.7189 0.2520  4 O 1.53-1.56
P2 0.5734 0.2801 0.7517  4 O 1.53-1.57
C1 0.0704 0.7109 0.7493  3 O 1.26-1.30
C2 0.9276 0.2843 0.2475  3 O 1.24-1.31
O1 0.0650 0.3215 0.2508  1 C 1.24
O2 0.1273 0.9388 0.7518  1 C 1.30
O3 0.1727 0.5262 0.7522  1 C 1.30
O4 0.3240 0.7850 0.0666  1 P 1.53
O5 0.3211 0.7895 0.4413  1 P 1.55
O6 0.4254 0.1348 0.7451  1 P 1.53
O7 0.4652 0.4247 0.2598  1 P 1.56
O8 0.5387 0.5794 0.7517  1 P 1.57
O9 0.5727 0.8663 0.2511  1 P 1.56
O10 0.6777 0.2121 0.5635  1 P 1.56
O11 0.6732 0.2079 0.9373  1 P 1.55
O12 0.8262 0.4740 0.2463  1 C 1.31
O13 0.8683 0.0569 0.2461  1 C 1.30
O14 0.9312 0.6725 0.7449  1 C 1.26

Results
ΔE_f	-1.9565	eV/atom
total moment	3.00	μB per formula unit
crystal system	triclinic

***

Entry 5:
Compound: LiVSiO4
Source: the Materials Project
Functional: GGA+U
Structure: optimized geometry

abc: 5.4320 8.2150 8.4975
angles: 106.08 90.00 89.99
Closest atoms and distances in Å follow each position.
Sites, in units of the cell vectors:
Li1 0.8457 0.9699 0.0737  4 O 1.94-2.08
Li2 0.1542 0.9699 0.5736  4 O 1.94-2.08
Li3 0.3407 0.5030 0.2839  4 O 2.02-2.13
Li4 0.6594 0.5029 0.7838  4 O 2.02-2.12
V1 0.6615 0.8636 0.7015  4 O 1.90-1.97
V2 0.8340 0.3685 0.3886  4 O 1.90-1.95
V3 0.3385 0.8636 0.2014  4 O 1.90-1.97
V4 0.1662 0.3684 0.8886  4 O 1.90-1.95
Si1 0.6632 0.2472 0.0108  4 O 1.64-1.65
Si2 0.3369 0.2472 0.5108  4 O 1.64-1.65
Si3 0.8362 0.7407 0.3265  4 O 1.64-1.66
Si4 0.1637 0.7406 0.8264  4 O 1.64-1.66
O1 0.1740 0.8843 0.0072  1 Si 1.66
O2 0.8259 0.8844 0.5072  1 Si 1.66
O3 0.3834 0.3243 0.0510  1 Si 1.65
O4 0.6166 0.3242 0.5509  1 Si 1.64
O5 0.6881 0.8147 0.1909  1 Si 1.65
O6 0.3119 0.8148 0.6908  1 Si 1.65
O7 0.1276 0.7010 0.2715  1 Si 1.66
O8 0.8723 0.7009 0.7714  1 Si 1.66
O9 0.7823 0.2146 0.1781  1 Si 1.65
O10 0.2179 0.2145 0.6781  1 Si 1.65
O11 0.6948 0.5708 0.3463  1 Si 1.64
O12 0.3052 0.5707 0.8462  1 Si 1.64
O13 0.1804 0.3817 0.4366  1 Si 1.65
O14 0.8197 0.3816 0.9365  1 Si 1.65
O15 0.3100 0.0547 0.3876  1 Si 1.64
O16 0.6899 0.0547 0.8877  1 Si 1.64

Results
ΔE_f	-2.7558	eV/atom
total moment	0.00	μB per formula unit
crystal system	monoclinic